(1)
{"formula": "DyTmRu2", "functional": "PBE-GGA", "state": "optimized geometry", "cell": [[0.000, 3.378, 3.378], [3.378, 0.000, 3.378], [3.378, 3.378, 0.000]], "species": ["Ru", "Ru", "Tm", "Dy"], "frac_coords": [[0.750, 0.750, 0.750], [0.250, 0.250, 0.250], [0.000, 0.000, 0.000], [0.500, 0.500, 0.500]], "ef_mev_per_atom": -371}

(2)
{"formula": "DyZn20Ru2", "functional": "PBE-GGA", "state": "optimized geometry", "cell": [[0.000, 7.132, 7.132], [7.132, 0.000, 7.132], [7.132, 7.132, 0.000]], "species": ["Zn", "Zn", "Zn", "Zn", "Zn", "Zn", "Zn", "Zn", "Zn", "Zn", "Zn", "Zn", "Zn", "Zn", "Zn", "Zn", "Zn", "Zn", "Zn", "Zn", "Zn", "Zn", "Zn", "Zn", "Zn", "Zn", "Zn", "Zn", "Zn", "Zn", "Zn", "Zn", "Zn", "Zn", "Zn", "Zn", "Zn", "Zn", "Zn", "Zn", "Ru", "Ru", "Ru", "Ru", "Dy", "Dy"], "frac_coords": [[0.864, 0.864, 0.136], [0.950, 0.950, 0.681], [0.569, 0.831, 0.300], [0.419, 0.950, 0.950], [0.950, 0.419, 0.950], [0.114, 0.386, 0.114], [0.681, 0.950, 0.419], [0.136, 0.136, 0.864], [0.300, 0.300, 0.569], [0.386, 0.114, 0.114], [0.569, 0.300, 0.300], [0.681, 0.419, 0.950], [0.625, 0.125, 0.625], [0.419, 0.950, 0.681], [0.300, 0.831, 0.300], [0.136, 0.864, 0.864], [0.950, 0.950, 0.419], [0.300, 0.569, 0.300], [0.419, 0.681, 0.950], [0.864, 0.136, 0.864], [0.300, 0.569, 0.831], [0.625, 0.625, 0.625], [0.681, 0.950, 0.950], [0.386, 0.114, 0.386], [0.125, 0.625, 0.625], [0.569, 0.300, 0.831], [0.950, 0.681, 0.419], [0.950, 0.419, 0.681], [0.386, 0.386, 0.114], [0.950, 0.681, 0.950], [0.136, 0.864, 0.136], [0.831, 0.300, 0.300], [0.114, 0.114, 0.386], [0.114, 0.386, 0.386], [0.625, 0.625, 0.125], [0.831, 0.300, 0.569], [0.300, 0.831, 0.569], [0.300, 0.300, 0.831], [0.831, 0.569, 0.300], [0.864, 0.136, 0.136], [0.125, 0.125, 0.625], [0.625, 0.125, 0.125], [0.125, 0.625, 0.125], [0.125, 0.125, 0.125], [0.500, 0.500, 0.500], [0.750, 0.750, 0.750]], "ef_mev_per_atom": -196}

(3)
{"formula": "DyZrRu2", "functional": "PBE-GGA", "state": "optimized geometry", "cell": [[2.308, -1.712, 3.744], [-2.023, 0.089, 4.262], [-1.430, -4.019, 2.018]], "species": ["Ru", "Ru", "Dy", "Zr"], "frac_coords": [[0.250, 0.250, 0.250], [0.750, 0.750, 0.750], [0.500, 0.500, 0.500], [0.000, 0.000, 0.000]], "ef_mev_per_atom": -497}